No. 1
# Te2Mo (GGA-PBE, relaxed)
# Density ... 4.19 g/cm³
data_Te2Mo
_cell_length_a 3.5587
_cell_length_b 3.5587
_cell_length_c 25.3466
_cell_angle_alpha 90.00
_cell_angle_beta 90.00
_cell_angle_gamma 120.00
_symmetry_space_group_name_H-M 'P -3 m 1'
_symmetry_Int_Tables_number 164
_symmetry_space_group_name_Hall '-P 3 2"'
loop_
_atom_site_label
_atom_site_type_symbol
_atom_site_fract_x
_atom_site_fract_y
_atom_site_fract_z
Te1 Te 0.3333 0.6667 0.0800
Te2 Te 0.3333 0.6667 0.2228
Mo1 Mo 0.3333 0.6667 0.8486

No. 2
# Te2Mo (GGA-PBE, relaxed)
# Density ... 6.93 g/cm³
data_Te2Mo
_cell_length_a 3.5587
_cell_length_b 3.5587
_cell_length_c 15.3466
_cell_angle_alpha 90.00
_cell_angle_beta 90.00
_cell_angle_gamma 120.00
_symmetry_space_group_name_H-M 'P 63/m m c'
_symmetry_Int_Tables_number 194
_symmetry_space_group_name_Hall '-P 6c 2c'
loop_
_atom_site_label
_atom_site_type_symbol
_atom_site_fract_x
_atom_site_fract_y
_atom_site_fract_z
Te1 Te 0.3333 0.6667 0.1321
Mo1 Mo 0.3333 0.6667 0.7500

No. 3
# Te4MoW (GGA-PBE, relaxed)
# Density ... 5.96 g/cm³
data_Te4MoW
_cell_length_a 3.5589
_cell_length_b 3.5589
_cell_length_c 40.1126
_cell_angle_alpha 90.00
_cell_angle_beta 90.00
_cell_angle_gamma 120.00
_symmetry_space_group_name_H-M 'P 3 m 1'
_symmetry_Int_Tables_number 156
_symmetry_space_group_name_Hall 'P 3 -2"'
loop_
_atom_site_label
_atom_site_type_symbol
_atom_site_fract_x
_atom_site_fract_y
_atom_site_fract_z
Te1 Te 0.0000 0.0000 0.0000
Te2 Te 0.0000 0.0000 0.0904
Te3 Te 0.0000 0.0000 0.3756
Te4 Te 0.0000 0.0000 0.4662
Te5 Te 0.3333 0.6667 0.1877
Te6 Te 0.3333 0.6667 0.2784
Te7 Te 0.3333 0.6667 0.8121
Te8 Te 0.3333 0.6667 0.9025
Mo1 Mo 0.0000 0.0000 0.8573
Mo2 Mo 0.3333 0.6667 0.0452
W1 W 0.0000 0.0000 0.2331
W2 W 0.3333 0.6667 0.4209

No. 4
# Te6Mo2W (GGA-PBE, relaxed)
# Density ... 5.32 g/cm³
data_Te6Mo2W
_cell_length_a 3.5524
_cell_length_b 3.5524
_cell_length_c 32.5711
_cell_angle_alpha 90.00
_cell_angle_beta 90.00
_cell_angle_gamma 120.00
_symmetry_space_group_name_H-M 'P -6 m 2'
_symmetry_Int_Tables_number 187
_symmetry_space_group_name_Hall 'P -6 2'
loop_
_atom_site_label
_atom_site_type_symbol
_atom_site_fract_x
_atom_site_fract_y
_atom_site_fract_z
Te1 Te 0.0000 0.0000 0.0558
Te2 Te 0.3333 0.6667 0.1756
Te3 Te 0.3333 0.6667 0.2870
Mo1 Mo 0.0000 0.0000 0.2313
W1 W 0.3333 0.6667 0.0000

Number 1: E_tot -0.2199 hartree per atom. Number 2: E_tot -0.2199 hartree per atom. Number 3: E_tot -0.2293 hartree per atom. Number 4: E_tot -0.2262 hartree per atom.